# 1
Li4MnP2O9, optimized geometry, DFT PBE+U; M_tot = 3.0 μB/f.u.; distance to the lowest polymorph of the same formula = 0.0000 eV/atom; crystal system = monoclinic; calculated formation energy = -246 kJ/mol of atoms; symmetry = C2/m (12); electronic total energy = -6.57 eV/atom
1.0
3.060 -6.274 -3.623
7.136 -0.862 -3.192
2.531 -2.393 6.101
Li O P Mn
8 18 4 2
Direct
0.892 0.892 0.233
0.759 0.241 0.000
0.500 0.000 0.500
0.241 0.759 0.000
0.367 0.367 0.711
0.000 0.500 0.500
0.108 0.108 0.767
0.633 0.633 0.289
0.821 0.441 0.876
0.655 0.655 0.565
0.179 0.559 0.124
0.031 0.031 0.186
0.559 0.179 0.124
0.626 0.010 0.766
0.873 0.873 0.493
0.969 0.969 0.814
0.010 0.626 0.766
0.238 0.238 0.896
0.504 0.504 0.236
0.762 0.762 0.104
0.374 0.990 0.234
0.127 0.127 0.507
0.990 0.374 0.234
0.496 0.496 0.764
0.441 0.821 0.876
0.345 0.345 0.435
0.876 0.876 0.708
0.124 0.124 0.292
0.397 0.397 0.243
0.603 0.603 0.757
0.000 0.500 0.000
0.500 0.000 0.000


# 2
LaCrCoO6, optimized geometry, DFT PBE+U; M_tot = 4.0 μB/f.u.; crystal system = monoclinic; calculated formation energy = -197 kJ/mol of atoms; symmetry = Pc (7); electronic total energy = -6.89 eV/atom
1.0
-3.988 2.330 -2.541
-1.807 -5.466 -2.174
-4.458 -0.904 5.976
Cr O Co La
2 12 2 2
Direct
0.534 0.079 0.482
0.034 0.421 0.982
0.578 0.032 0.739
0.078 0.468 0.239
0.245 0.657 0.531
0.924 0.470 0.774
0.718 0.338 0.060
0.744 0.843 0.031
0.218 0.162 0.560
0.424 0.030 0.274
0.203 0.190 0.959
0.234 0.646 0.975
0.703 0.310 0.459
0.735 0.854 0.474
0.560 0.076 0.985
0.060 0.424 0.485
0.014 0.873 0.745
0.514 0.627 0.245


# 3
Na3CoC2ClO6, optimized geometry, DFT PBE+U; M_tot = 3.0 μB/f.u.; crystal system = cubic; calculated formation energy = -182 kJ/mol of atoms; symmetry = Fd-3 (203); electronic total energy = -6.14 eV/atom
1.0
0.000 7.067 7.067
7.067 0.000 7.067
7.067 7.067 0.000
O Co C Na Cl
24 4 8 12 4
Direct
0.486 0.313 0.231
0.019 0.764 0.937
0.019 0.937 0.280
0.231 0.486 0.313
0.019 0.280 0.764
0.970 0.486 0.231
0.764 0.019 0.280
0.486 0.231 0.970
0.764 0.937 0.019
0.764 0.280 0.937
0.231 0.313 0.970
0.970 0.313 0.486
0.313 0.970 0.231
0.937 0.764 0.280
0.280 0.019 0.937
0.313 0.231 0.486
0.313 0.486 0.970
0.280 0.764 0.019
0.970 0.231 0.313
0.486 0.970 0.313
0.937 0.280 0.019
0.280 0.937 0.764
0.231 0.970 0.486
0.937 0.019 0.764
0.125 0.625 0.125
0.125 0.125 0.625
0.625 0.125 0.125
0.125 0.125 0.125
0.908 0.908 0.908
0.277 0.908 0.908
0.973 0.342 0.342
0.342 0.342 0.342
0.342 0.342 0.973
0.342 0.973 0.342
0.908 0.277 0.908
0.908 0.908 0.277
0.277 0.723 0.277
0.973 0.527 0.527
0.723 0.277 0.277
0.527 0.973 0.527
0.723 0.277 0.723
0.527 0.527 0.973
0.277 0.277 0.723
0.973 0.527 0.973
0.527 0.973 0.973
0.277 0.723 0.723
0.973 0.973 0.527
0.723 0.723 0.277
0.125 0.625 0.625
0.625 0.625 0.125
0.625 0.125 0.625
0.625 0.625 0.625


# 4
Ca5Dy3Ti5Mn3O24, optimized geometry, DFT PBE+U; M_tot = 12.0 μB/f.u.; crystal system = triclinic; calculated formation energy = -323 kJ/mol of atoms; symmetry = P1 (1); electronic total energy = -8.05 eV/atom
1.0
5.383 0.000 0.000
-0.035 5.616 0.000
-0.045 -0.033 15.272
O Ti Mn Ca Dy
24 5 3 5 3
Direct
0.801 0.203 0.470
0.109 0.532 0.375
0.896 0.471 0.124
0.580 0.974 0.625
0.209 0.782 0.027
0.212 0.807 0.226
0.296 0.317 0.520
0.706 0.701 0.981
0.303 0.318 0.227
0.185 0.799 0.521
0.913 0.473 0.625
0.390 0.030 0.378
0.305 0.296 0.028
0.286 0.292 0.729
0.712 0.688 0.467
0.784 0.209 0.772
0.416 0.022 0.877
0.078 0.521 0.876
0.708 0.684 0.276
0.797 0.202 0.978
0.789 0.186 0.280
0.203 0.787 0.729
0.706 0.714 0.772
0.592 0.966 0.122
0.506 0.023 0.001
0.008 0.496 0.500
0.993 0.517 0.001
0.513 0.999 0.749
0.011 0.504 0.748
0.497 0.000 0.251
0.493 0.994 0.500
0.002 0.495 0.250
0.013 0.058 0.128
0.511 0.455 0.873
0.490 0.553 0.624
0.013 0.051 0.624
0.992 0.954 0.872
0.517 0.429 0.374
0.485 0.569 0.129
0.980 0.929 0.374


# 5
Li2Fe3P4H4O16, optimized geometry, DFT PBE+U; M_tot = 12.0 μB/f.u.; crystal system = monoclinic; calculated formation energy = -214 kJ/mol of atoms; symmetry = P2_1/c (14); electronic total energy = -6.56 eV/atom
1.0
-4.278 -1.906 6.715
-0.657 -8.388 -2.800
7.511 -3.493 3.793
O Li H Fe P
32 4 8 6 8
Direct
0.375 0.221 0.272
0.129 0.686 0.381
0.841 0.142 0.874
0.467 0.962 0.850
0.871 0.314 0.619
0.365 0.350 0.870
0.994 0.223 0.157
0.875 0.779 0.228
0.625 0.779 0.728
0.074 0.454 0.892
0.709 0.512 0.859
0.967 0.038 0.650
0.865 0.650 0.630
0.371 0.686 0.881
0.791 0.512 0.359
0.659 0.142 0.374
0.533 0.038 0.150
0.125 0.221 0.772
0.494 0.777 0.343
0.209 0.488 0.641
0.006 0.777 0.843
0.506 0.223 0.657
0.629 0.314 0.119
0.635 0.650 0.130
0.426 0.454 0.392
0.926 0.546 0.108
0.159 0.858 0.126
0.291 0.488 0.141
0.341 0.858 0.626
0.574 0.546 0.608
0.135 0.350 0.370
0.033 0.962 0.350
0.833 0.998 0.472
0.667 0.998 0.972
0.167 0.002 0.528
0.333 0.002 0.028
0.005 0.883 0.787
0.495 0.883 0.287
0.034 0.284 0.233
0.466 0.284 0.733
0.966 0.716 0.767
0.995 0.117 0.213
0.505 0.117 0.713
0.534 0.716 0.267
0.000 0.500 0.500
0.141 0.644 0.006
0.359 0.644 0.506
0.500 0.500 0.000
0.859 0.356 0.994
0.641 0.356 0.494
0.801 0.613 0.204
0.061 0.823 0.271
0.561 0.177 0.229
0.699 0.613 0.704
0.301 0.387 0.296
0.939 0.177 0.729
0.199 0.387 0.796
0.439 0.823 0.771


# 6
LiFe4B4O12, optimized geometry, DFT PBE+U; M_tot = 19.0 μB/f.u.; distance to the lowest polymorph of the same formula = 0.0014 eV/atom; crystal system = triclinic; calculated formation energy = -215 kJ/mol of atoms; symmetry = P1 (1); electronic total energy = -7.21 eV/atom
1.0
2.619 4.143 -1.884
-1.319 -3.879 -3.289
-17.377 9.450 -3.671
O B Fe Li
24 8 8 2
Direct
0.300 0.235 0.059
0.271 0.874 0.213
0.211 0.271 0.824
0.265 0.878 0.712
0.576 0.970 0.583
0.698 0.762 0.445
0.908 0.255 0.960
0.422 0.031 0.913
0.725 0.115 0.785
0.598 0.018 0.085
0.350 0.262 0.559
0.119 0.727 0.040
0.007 0.600 0.334
0.226 0.294 0.315
0.978 0.399 0.665
0.773 0.707 0.184
0.773 0.715 0.677
0.013 0.592 0.833
0.730 0.127 0.285
0.883 0.273 0.457
0.406 0.977 0.412
0.647 0.740 0.936
0.991 0.401 0.163
0.091 0.745 0.537
0.336 0.996 0.062
0.000 0.663 0.685
0.994 0.340 0.311
0.004 0.660 0.186
0.337 0.000 0.560
0.660 0.003 0.936
0.666 0.002 0.437
0.986 0.326 0.813
0.676 0.004 0.185
0.320 0.978 0.812
0.991 0.685 0.939
0.325 0.998 0.311
0.997 0.326 0.060
0.008 0.673 0.436
0.006 0.318 0.561
0.669 0.008 0.684
0.333 0.356 0.922
0.656 0.656 0.550